Record 1
The following is a PBE calculation of a relaxed structure of Ho5Ge3C, from the Materials Project database.

Values from the calculation:
**ΔE_f**: -0.731 eV per atom
**Raw total energy**: -5.84 eV per atom

Unit cell a=8.4856 b=8.4856 c=6.4343 alpha=90.00 beta=90.00 gamma=120.00
Atoms (fractional coordinates):
Ge1 0.5935 0.5935 0.2500
Ho1 0.7787 0.0000 0.2500
C1 0.0000 0.0000 0.5000
Ho2 0.3333 0.6667 0.5000
Ho3 0.2213 0.2213 0.2500
Ge2 0.4065 0.0000 0.2500
Ge3 0.5935 0.0000 0.7500
Ho4 0.2213 0.0000 0.7500
Ho5 0.3333 0.6667 0.0000
Ho6 0.0000 0.2213 0.7500
Ge4 0.4065 0.4065 0.7500
Ho7 0.0000 0.7787 0.2500
C2 0.0000 0.0000 0.0000
Ge5 0.0000 0.4065 0.2500
Ho8 0.7787 0.7787 0.7500
Ho9 0.6667 0.3333 0.5000
Ho10 0.6667 0.3333 0.0000
Ge6 0.0000 0.5935 0.7500

---

Record 2
The following is a PBE calculation of a relaxed structure of KGePCO7, from the Materials Project database.

Values from the calculation:
**ΔE_f**: -2.254 eV per atom
**E (MP2020)**: -7.25 eV per atom
**Raw total energy**: -6.82 eV per atom

Unit cell a=6.2412 b=5.1295 c=10.4362 alpha=87.80 beta=90.00 gamma=90.00
Atoms (fractional coordinates):
C1 0.7554 0.7053 0.1385
O1 0.2913 0.3321 0.9754
O2 0.7333 0.9401 0.1903
O3 0.2213 0.4311 0.4873
O4 0.7404 0.5174 0.2323
K1 0.1389 0.2348 0.2004
Ge1 0.2211 0.2200 0.6406
P1 0.7248 0.2730 0.5539
O5 0.2333 0.0599 0.8097
P2 0.2248 0.7270 0.4461
O6 0.0320 0.7887 0.3577
O7 0.2266 0.8910 0.5661
O8 0.2404 0.4826 0.7677
O9 0.7913 0.6679 0.0246
Ge2 0.7211 0.7800 0.3594
K2 0.6389 0.7652 0.7996
O10 0.4169 0.7831 0.3552
C2 0.2554 0.2947 0.8615
O11 0.7213 0.5689 0.5127
O12 0.9169 0.2169 0.6448
O13 0.7266 0.1090 0.4339
O14 0.5320 0.2113 0.6423

---

Record 3
The following is a PBE calculation of a relaxed structure of K3GePCO7, from the Materials Project database.

Values from the calculation:
**ΔE_f**: -2.218 eV per atom
**E (MP2020)**: -6.62 eV per atom
**Raw total energy**: -6.25 eV per atom

Unit cell a=7.3446 b=5.5985 c=10.0053 alpha=88.63 beta=90.00 gamma=90.00
Atoms (fractional coordinates):
O1 0.7500 0.5403 0.8612
Ge1 0.2500 0.2220 0.3716
K1 0.9981 0.7442 0.2603
O2 0.2500 0.4597 0.1388
O3 0.2500 0.4343 0.5542
P1 0.7500 0.2906 0.4176
O4 0.9223 0.2300 0.3340
O5 0.2500 0.2682 0.9423
K2 0.2500 0.7629 0.9170
K3 0.4981 0.2558 0.7397
P2 0.2500 0.7094 0.5824
C1 0.2500 0.2620 0.0732
O6 0.0777 0.7700 0.6660
K4 0.7500 0.2371 0.0830
K5 0.0019 0.2558 0.7397
O7 0.2500 0.8517 0.4450
O8 0.2500 0.0566 0.1375
O9 0.7500 0.7318 0.0577
O10 0.7500 0.1483 0.5550
O11 0.5777 0.2300 0.3340
O12 0.7500 0.5657 0.4458
C2 0.7500 0.7380 0.9268
K6 0.5019 0.7442 0.2603
O13 0.4223 0.7700 0.6660
Ge2 0.7500 0.7780 0.6284
O14 0.7500 0.9434 0.8625

---

Record 4
The following is a PBE calculation of a relaxed structure of LiGePCO7, from the Materials Project database.

Values from the calculation:
**ΔE_f**: -2.239 eV per atom
**Largest piezoelectric modulus**: 2.2 C/m²
**E (MP2020)**: -7.31 eV per atom
**Raw total energy**: -6.88 eV per atom

Unit cell a=6.2326 b=5.0655 c=8.6229 alpha=85.45 beta=90.00 gamma=90.00
Atoms (fractional coordinates):
O1 0.7598 0.1265 0.4151
O2 0.7710 0.5323 0.1828
O3 0.7552 0.9610 0.1262
O4 0.2474 0.4293 0.4772
Li1 0.9749 0.2281 0.1833
C1 0.7533 0.7253 0.0657
O5 0.5586 0.1796 0.6697
Ge1 0.2485 0.2112 0.6627
O6 0.2710 0.4677 0.8172
P1 0.7542 0.2653 0.5689
O7 0.0586 0.8204 0.3303
P2 0.2542 0.7347 0.4311
Li2 0.4749 0.7719 0.8167
O8 0.4485 0.8039 0.3265
O9 0.9485 0.1961 0.6735
C2 0.2533 0.2747 0.9343
O10 0.2598 0.8735 0.5849
O11 0.7474 0.5707 0.5228
O12 0.2552 0.0390 0.8738
Ge2 0.7485 0.7888 0.3373
O13 0.7308 0.6861 0.9278
O14 0.2308 0.3139 0.0722

---

Record 5
The following is a PBE calculation of a relaxed structure of Lu5Ge3C, from the Materials Project database.

Values from the calculation:
**ΔE_f**: -0.744 eV per atom
**Raw total energy**: -5.82 eV per atom

Unit cell a=8.3144 b=8.3144 c=6.3002 alpha=90.00 beta=90.00 gamma=120.00
Atoms (fractional coordinates):
C1 0.0000 0.0000 0.5000
Ge1 0.5932 0.0000 0.2500
Ge2 0.4068 0.4068 0.2500
Lu1 0.2210 0.0000 0.2500
Lu2 0.6667 0.3333 0.0000
Lu3 0.2210 0.2210 0.7500
Lu4 0.3333 0.6667 0.5000
Lu5 0.6667 0.3333 0.5000
Lu6 0.7790 0.7790 0.2500
C2 0.0000 0.0000 0.0000
Lu7 0.7790 0.0000 0.7500
Lu8 0.3333 0.6667 0.0000
Ge3 0.5932 0.5932 0.7500
Ge4 0.0000 0.5932 0.2500
Lu9 0.0000 0.2210 0.2500
Ge5 0.4068 0.0000 0.7500
Ge6 0.0000 0.4068 0.7500
Lu10 0.0000 0.7790 0.7500

---

Record 6
The following is a PBE calculation of a relaxed structure of GeCN2, from the Materials Project database.

Values from the calculation:
**ΔE_f**: 0.157 eV per atom
**Energy above the most stable polymorph in this dataset**: 0.052 eV/atom
**E (MP2020)**: -7.47 eV per atom
**Raw total energy**: -7.29 eV per atom

Unit cell a=3.6268 b=3.6269 c=9.8196 alpha=90.00 beta=90.00 gamma=120.00
Atoms (fractional coordinates):
N1 0.6667 0.3334 0.1239
C1 0.6667 0.3334 0.2500
N2 0.6667 0.3334 0.3761
Ge1 0.0000 0.0000 0.5000
N3 0.3333 0.6666 0.8761
N4 0.3333 0.6666 0.6239
C2 0.3333 0.6666 0.7500
Ge2 0.0000 0.0000 0.0000

---

Record 7
The following is a PBE calculation of a relaxed structure of GeCN2, from the Materials Project database.

Values from the calculation:
**ΔE_f**: 0.138 eV per atom
**Energy above the most stable polymorph in this dataset**: 0.032 eV/atom
**E (MP2020)**: -7.49 eV per atom
**Raw total energy**: -7.31 eV per atom

Unit cell a=3.5876 b=5.3400 c=14.7659 alpha=22.82 beta=90.00 gamma=70.37
Atoms (fractional coordinates):
C1 0.0000 0.0000 0.5000
N1 0.0000 0.0000 0.5839
N2 0.0000 0.0000 0.4160
Ge1 0.0000 0.9999 0.0000

---

Record 8
The following is a PBE calculation of a relaxed structure of GeCN2, from the Materials Project database.

Values from the calculation:
**ΔE_f**: 0.105 eV per atom
**Energy above the most stable polymorph in this dataset**: 0.000 eV/atom
**E (MP2020)**: -7.53 eV per atom
**Raw total energy**: -7.35 eV per atom

Unit cell a=6.3456 b=8.7355 c=5.1453 alpha=90.00 beta=90.00 gamma=90.00
Atoms (fractional coordinates):
N1 0.1848 0.7088 0.8240
N2 0.6848 0.7912 0.8240
N3 0.8179 0.2927 0.8015
N4 0.6821 0.7927 0.3015
C1 0.1928 0.7046 0.0627
Ge1 0.3768 0.6320 0.5619
Ge2 0.8768 0.8680 0.5619
Ge3 0.1232 0.1320 0.0619
Ge4 0.6232 0.3680 0.0619
N5 0.1821 0.7073 0.3015
N6 0.3179 0.2073 0.8015
C2 0.6928 0.7954 0.0627
N7 0.3152 0.2088 0.3240
C3 0.8072 0.2954 0.5627
N8 0.8152 0.2912 0.3240
C4 0.3072 0.2046 0.5627

---

Record 9
The following is a PBE calculation of a relaxed structure of Ge6C4NO13, from the Materials Project database.

Values from the calculation:
**ΔE_f**: -0.896 eV per atom
**E (MP2020)**: -6.62 eV per atom
**Raw total energy**: -6.25 eV per atom

Unit cell a=9.2318 b=9.7624 c=17.9601 alpha=98.68 beta=90.00 gamma=90.00
Atoms (fractional coordinates):
O1 0.4824 0.2587 0.0706
Ge1 0.5459 0.4475 0.4052
Ge2 0.0889 0.4504 0.1025
O2 0.4655 0.3776 0.6061
O3 0.5176 0.7413 0.9294
Ge3 0.0459 0.0525 0.0948
O4 0.8792 0.3732 0.8949
O5 0.8806 0.3483 0.2969
O6 0.2584 0.8873 0.6477
Ge4 0.8302 0.2730 0.3763
Ge5 0.9111 0.5496 0.8975
C1 0.5380 0.6563 0.2023
O7 0.0176 0.7587 0.5706
Ge6 0.6698 0.7730 0.8763
O8 0.1208 0.6268 0.1051
Ge7 0.5889 0.0496 0.3975
O9 0.9655 0.1224 0.8939
O10 0.9327 0.6470 0.9885
C2 0.5620 0.6682 0.1029
O11 0.4090 0.3855 0.4615
O12 0.5910 0.6145 0.5385
Ge8 0.8890 0.2852 0.2006
N1 0.6734 0.6394 0.1568
O13 0.2760 0.5988 0.5677
Ge9 0.4111 0.9504 0.6025
O14 0.7326 0.2897 0.0018
Ge10 0.0850 0.7399 0.0331
O15 0.0910 0.8855 0.9615
N2 0.3266 0.3606 0.8432
C3 0.0620 0.8318 0.3971
O16 0.9330 0.4309 0.1575
O17 0.8821 0.5095 0.5469
O18 0.2240 0.0988 0.0677
O19 0.2674 0.7103 0.9982
O20 0.9799 0.8492 0.8137
O21 0.7240 0.4012 0.4323
O22 0.2160 0.2728 0.3339
N3 0.8266 0.1394 0.6568
C4 0.4380 0.3318 0.8971
Ge11 0.4541 0.5525 0.5948
C5 0.5070 0.2287 0.8389
C6 0.0380 0.8437 0.2977
Ge12 0.1643 0.3061 0.4303
O23 0.2326 0.2103 0.4982
O24 0.4330 0.0691 0.3425
O25 0.4327 0.8530 0.5115
O26 0.7674 0.7897 0.5018
O27 0.7160 0.2272 0.1661
Ge13 0.6643 0.1939 0.0697
C7 0.3469 0.2073 0.8274
O28 0.7584 0.6127 0.8523
O29 0.0345 0.8776 0.1061
O30 0.3792 0.1268 0.6051
O31 0.0201 0.1508 0.1863
Ge14 0.1110 0.7148 0.7994
O32 0.5201 0.3492 0.3137
C8 0.9380 0.1682 0.6029
O33 0.1194 0.6517 0.7031
O34 0.1179 0.4905 0.4531
O35 0.5345 0.6224 0.3939
C9 0.9620 0.1563 0.7023
O36 0.7760 0.9012 0.9323
Ge15 0.3890 0.2148 0.2994
C10 0.8469 0.2927 0.6726
O37 0.9090 0.1145 0.0385
O38 0.6208 0.8732 0.3949
C11 0.1531 0.7073 0.3274
O39 0.2416 0.3873 0.1477
C12 0.6531 0.7927 0.1726
Ge16 0.6110 0.7852 0.7006
Ge17 0.9541 0.9475 0.9052
O40 0.3821 0.9905 0.9531
O41 0.7840 0.7272 0.6661
O42 0.5673 0.1470 0.4885
C13 0.4620 0.3437 0.7977
O43 0.4799 0.6508 0.6863
O44 0.9824 0.2413 0.4294
Ge18 0.3357 0.8061 0.9303
C14 0.9930 0.7287 0.3389
Ge19 0.1698 0.7270 0.6237
N4 0.1734 0.8606 0.3432
O45 0.2840 0.7728 0.8339
O46 0.0670 0.5691 0.8425
C15 0.4930 0.7713 0.1611
O47 0.6179 0.0095 0.0469
O48 0.0673 0.3530 0.0115
Ge20 0.9150 0.2601 0.9669
O49 0.6194 0.8483 0.7969
Ge21 0.3302 0.2270 0.1237
C16 0.0070 0.2713 0.6611
O50 0.5670 0.9309 0.6575
Ge22 0.5850 0.7601 0.4669
O51 0.3806 0.1517 0.2031
Ge23 0.4150 0.2399 0.5331
Ge24 0.8357 0.6939 0.5697
O52 0.7416 0.1127 0.3523

---

Record 10
The following is a PBE calculation of a relaxed structure of Na3GePCO7, from the Materials Project database.

Values from the calculation:
**ΔE_f**: -2.215 eV per atom
**Largest piezoelectric modulus**: 0.5 C/m²
**Energy above the most stable polymorph in this dataset**: 0.000 eV/atom
**E (MP2020)**: -6.67 eV per atom
**Raw total energy**: -6.30 eV per atom

Unit cell a=6.8835 b=5.4871 c=9.2590 alpha=84.56 beta=90.00 gamma=90.00
Atoms (fractional coordinates):
O1 0.7801 0.5444 0.7185
P1 0.2503 0.9861 0.6701
O2 0.2687 0.1881 0.5366
C1 0.7678 0.5142 0.8633
O3 0.8530 0.9188 0.2000
O4 0.7439 0.7115 0.9284
Na1 0.3161 0.4851 0.8421
O5 0.7783 0.3037 0.9334
Ge1 0.7538 0.9194 0.6729
Na2 0.0286 0.0006 0.9849
O6 0.2783 0.6963 0.0666
O7 0.3233 0.7376 0.6260
Na3 0.5286 0.9994 0.0151
O8 0.2801 0.4556 0.2815
O9 0.0295 0.9542 0.7154
O10 0.7687 0.8119 0.4634
O11 0.2439 0.2885 0.0716
P2 0.7503 0.0139 0.3299
O12 0.3530 0.0812 0.8000
Na4 0.0322 0.5151 0.4996
C2 0.2678 0.4858 0.1367
Na5 0.5322 0.4849 0.5004
O13 0.8233 0.2624 0.3740
O14 0.5295 0.0458 0.2846
Ge2 0.2538 0.0806 0.3271
Na6 0.8161 0.5149 0.1579

---

Record 11
The following is a PBE calculation of a relaxed structure of Na3GePCO7, from the Materials Project database.

Values from the calculation:
**ΔE_f**: -2.199 eV per atom
**Energy above the most stable polymorph in this dataset**: 0.016 eV/atom
**E (MP2020)**: -6.65 eV per atom
**Raw total energy**: -6.28 eV per atom

Unit cell a=7.0680 b=5.1531 c=9.2440 alpha=88.85 beta=90.00 gamma=90.00
Atoms (fractional coordinates):
C1 0.2500 0.2700 0.0550
O1 0.4262 0.8029 0.6814
Na1 0.0014 0.2502 0.7432
O2 0.7500 0.1852 0.5650
P1 0.2500 0.7080 0.5962
O3 0.2500 0.4855 0.1255
Na2 0.4986 0.2502 0.7432
O4 0.2500 0.2728 0.9154
O5 0.2500 0.0459 0.1264
Na3 0.7500 0.2335 0.0840
O6 0.7500 0.5942 0.4074
O7 0.2500 0.4058 0.5926
O8 0.9262 0.1971 0.3186
O9 0.0738 0.8029 0.6814
O10 0.2500 0.8148 0.4350
P2 0.7500 0.2920 0.4038
Ge1 0.7500 0.7788 0.6367
Na4 0.2500 0.7665 0.9160
O11 0.7500 0.7272 0.0846
O12 0.5738 0.1971 0.3186
Ge2 0.2500 0.2212 0.3633
C2 0.7500 0.7300 0.9450
Na5 0.5014 0.7498 0.2568
O13 0.7500 0.9541 0.8736
Na6 0.9986 0.7498 0.2568
O14 0.7500 0.5145 0.8745

---

Record 12
The following is a PBE calculation of a relaxed structure of Nb2GeC, from the Materials Project database.

Values from the calculation:
**ΔE_f**: -0.509 eV per atom
**Raw total energy**: -9.02 eV per atom

Unit cell a=3.2754 b=3.2754 c=12.5571 alpha=90.00 beta=90.00 gamma=120.00
Atoms (fractional coordinates):
Nb1 0.6667 0.3333 0.9069
Ge1 0.6667 0.3333 0.2500
Nb2 0.3333 0.6667 0.0931
Nb3 0.3333 0.6667 0.4069
C1 0.0000 0.0000 0.0000
Ge2 0.3333 0.6667 0.7500
Nb4 0.6667 0.3333 0.5931
C2 0.0000 0.0000 0.5000